Entry from Materials Project: crystalline Li2Cr3NiO8 at its relaxed geometry (PBE+U).

E above lowest polymorph (eV/atom): 0.020
Formation energy from the elements (eV/atom): -1.9998

Cell lengths 5.8280, 5.8280, 9.6361 Å; angles 90.00, 90.00, 120.00 degrees
Fractional coordinates of all 28 atoms:
Li: 0.0000 0.0000 0.0000
Li: 0.0000 0.0000 0.5000
Li: 0.3333 0.6667 0.3957
Li: 0.6667 0.3333 0.8957
Cr: 0.1686 0.3372 0.7159
Cr: 0.1686 0.8314 0.7159
Cr: 0.3372 0.1686 0.2159
Cr: 0.6628 0.8314 0.7159
Cr: 0.8314 0.1686 0.2159
Cr: 0.8314 0.6628 0.2159
Ni: 0.3333 0.6667 0.9921
Ni: 0.6667 0.3333 0.4921
O: 0.0000 0.0000 0.3174
O: 0.0000 0.0000 0.8174
O: 0.0383 0.5191 0.8295
O: 0.1597 0.3193 0.1124
O: 0.1597 0.8403 0.1124
O: 0.3193 0.1597 0.6124
O: 0.3333 0.6667 0.6048
O: 0.4809 0.5191 0.8295
O: 0.4809 0.9617 0.8295
O: 0.5191 0.0383 0.3295
O: 0.5191 0.4809 0.3295
O: 0.6667 0.3333 0.1048
O: 0.6807 0.8403 0.1124
O: 0.8403 0.1597 0.6124
O: 0.8403 0.6807 0.6124
O: 0.9617 0.4809 0.3295